No. 1
# PmMg2

Crystalline PmMg2 at its relaxed geometry (PBE-GGA, the Materials Project).

Unit cell a=6.1104 b=6.1104 c=6.1104 alpha=60.00 beta=60.00 gamma=60.00
With the nearest neighbours (Å) after each atom.
Fractional coordinates of all 6 atoms:
Mg (0.1250, 0.1250, 0.1250)  6 Mg 3.06
Mg (0.1250, 0.1250, 0.6250)  6 Mg 3.06
Mg (0.1250, 0.6250, 0.1250)  6 Mg 3.06
Mg (0.6250, 0.1250, 0.1250)  6 Mg 3.06
Pm (0.5000, 0.5000, 0.5000)  12 Mg 3.58, 4 Pm 3.74
Pm (0.7500, 0.7500, 0.7500)  12 Mg 3.58, 4 Pm 3.74

For the calculated total energy, the calculation gives -2.745 eV per atom. Its crystal system is cubic. The symmetry is Fd-3m, No. 227.

---

No. 2
# SiO2

Crystalline SiO2 at its relaxed geometry (PBE-GGA, the Materials Project).

Unit cell a=12.2520 b=12.2520 c=12.2520 alpha=135.75 beta=135.75 gamma=64.37
With the nearest neighbours (Å) after each atom.
Fractional coordinates of all 48 atoms:
O (0.7299, 0.7299, 0.4599)  2 Si 1.62
O (0.6271, 0.8161, 0.8110)  2 Si 1.62
O (0.5661, 0.8771, 0.3110)  2 Si 1.62
O (0.4799, 0.9799, 0.9599)  2 Si 1.62
O (0.7931, 0.5800, 0.7868)  2 Si 1.63
O (0.1839, 0.9948, 0.8110)  2 Si 1.62
O (0.2701, 0.7299, 0.0000)  2 Si 1.62
O (0.7931, 0.0063, 0.2132)  2 Si 1.63
O (0.9569, 0.2437, 0.2868)  2 Si 1.63
O (0.1229, 0.4339, 0.6890)  2 Si 1.62
O (0.2701, 0.2701, 0.5401)  2 Si 1.62
O (0.7563, 0.0431, 0.7132)  2 Si 1.63
O (0.6540, 0.1250, 0.0290)  2 Si 1.62
O (0.0201, 0.5201, 0.0401)  2 Si 1.62
O (0.6540, 0.6250, 0.5290)  2 Si 1.62
O (0.0960, 0.1250, 0.4710)  2 Si 1.62
O (0.8750, 0.3460, 0.9710)  2 Si 1.62
O (0.3300, 0.0431, 0.2868)  2 Si 1.63
O (0.5661, 0.2552, 0.6890)  2 Si 1.62
O (0.9569, 0.6700, 0.7132)  2 Si 1.63
O (0.3750, 0.3460, 0.4710)  2 Si 1.62
O (0.0052, 0.8161, 0.1890)  2 Si 1.62
O (0.4200, 0.2069, 0.2132)  2 Si 1.63
O (0.9937, 0.2069, 0.7868)  2 Si 1.63
O (0.8750, 0.9040, 0.5290)  2 Si 1.62
O (0.0201, 0.9799, 0.5000)  2 Si 1.62
O (0.7448, 0.4339, 0.3110)  2 Si 1.62
O (0.3750, 0.9040, 0.0290)  2 Si 1.62
O (0.0960, 0.6250, 0.9710)  2 Si 1.62
O (0.4799, 0.5201, 0.5000)  2 Si 1.62
O (0.1839, 0.3729, 0.1890)  2 Si 1.62
O (0.7299, 0.2701, 0.0000)  2 Si 1.62
Si (0.9774, 0.6351, 0.9957)  4 O 1.62-1.63
Si (0.7317, 0.8894, 0.5043)  4 O 1.62-1.63
Si (0.0183, 0.3606, 0.9957)  4 O 1.62-1.63
Si (0.3851, 0.2274, 0.4957)  4 O 1.62-1.63
Si (0.0183, 0.0226, 0.6577)  4 O 1.62-1.63
Si (0.9774, 0.9817, 0.3423)  4 O 1.62-1.63
Si (0.1106, 0.6149, 0.8423)  4 O 1.62-1.63
Si (0.3649, 0.0226, 0.0043)  4 O 1.62-1.63
Si (0.3649, 0.3606, 0.3423)  4 O 1.62-1.63
Si (0.3851, 0.8894, 0.1577)  4 O 1.62-1.63
Si (0.6394, 0.9817, 0.0043)  4 O 1.62-1.63
Si (0.7726, 0.6149, 0.5043)  4 O 1.62-1.63
Si (0.7726, 0.2683, 0.1577)  4 O 1.62-1.63
Si (0.1106, 0.2683, 0.4957)  4 O 1.62-1.63
Si (0.7317, 0.2274, 0.8423)  4 O 1.62-1.63
Si (0.6394, 0.6351, 0.6577)  4 O 1.62-1.63

For the calculated total energy, the calculation gives -7.908 eV per atom. Its crystal system is tetragonal. The symmetry is I4_1/amd, No. 141.

---

No. 3
# KCa4Si8H16O28F

Crystalline KCa4Si8H16O28F at its relaxed geometry (PBE-GGA, the Materials Project).

Unit cell a=9.9682 b=9.9682 c=12.4228 alpha=90.00 beta=90.00 gamma=90.00
With the nearest neighbours (Å) after each atom.
Fractional coordinates of all 116 atoms:
H (0.5648, 0.8985, 0.6003)  1 O 0.98
H (0.6778, 0.5890, 0.5309)  1 H 0.77
H (0.9352, 0.3985, 0.1003)  1 O 0.98
H (0.8985, 0.4352, 0.3997)  1 O 0.98
H (0.9110, 0.8222, 0.0309)  1 H 0.77
H (0.8985, 0.4352, 0.6003)  1 O 0.98
H (0.8222, 0.0890, 0.0309)  1 H 0.77
H (0.1778, 0.9110, 0.0309)  1 H 0.77
H (0.6015, 0.9352, 0.1003)  1 O 0.98
H (0.5648, 0.8985, 0.3997)  1 O 0.98
H (0.8222, 0.0890, 0.9691)  1 H 0.77
H (0.0890, 0.1778, 0.0309)  1 H 0.77
H (0.6778, 0.5890, 0.4691)  1 H 0.77
H (0.4110, 0.6778, 0.4691)  1 H 0.77
H (0.4110, 0.6778, 0.5309)  1 H 0.77
H (0.5890, 0.3222, 0.5309)  1 H 0.77
H (0.0648, 0.6015, 0.1003)  1 O 0.98
H (0.1015, 0.5648, 0.3997)  1 O 0.98
H (0.4352, 0.1015, 0.3997)  1 O 0.98
H (0.9110, 0.8222, 0.9691)  1 H 0.77
H (0.4352, 0.1015, 0.6003)  1 O 0.98
H (0.9352, 0.3985, 0.8997)  1 O 0.98
H (0.0890, 0.1778, 0.9691)  1 H 0.77
H (0.3985, 0.0648, 0.8997)  1 O 0.98
H (0.1015, 0.5648, 0.6003)  1 O 0.98
H (0.3222, 0.4110, 0.4691)  1 H 0.77
H (0.6015, 0.9352, 0.8997)  1 O 0.98
H (0.5890, 0.3222, 0.4691)  1 H 0.77
H (0.1778, 0.9110, 0.9691)  1 H 0.77
H (0.0648, 0.6015, 0.8997)  1 O 0.98
H (0.3985, 0.0648, 0.1003)  1 O 0.98
H (0.3222, 0.4110, 0.5309)  1 H 0.77
O (0.6077, 0.3384, 0.2824)  2 Si 1.66-1.67
O (0.8384, 0.1077, 0.7824)  2 Si 1.66-1.67
O (0.3923, 0.6616, 0.2824)  2 Si 1.66-1.67
O (0.1982, 0.5612, 0.6118)  1 H 0.98
O (0.8739, 0.3739, 0.2500)  2 Si 1.80, 2 O 1.97, 2 H 1.97
O (0.2236, 0.0238, 0.3878)  1 Si 1.64
O (0.5612, 0.8018, 0.3882)  1 H 0.98
O (0.7764, 0.9762, 0.6122)  1 Si 1.64
O (0.7236, 0.4762, 0.1122)  1 Si 1.64
O (0.1261, 0.6261, 0.7500)  2 Si 1.80, 2 O 1.97, 2 H 1.97
O (0.3739, 0.1261, 0.7500)  2 Si 1.80, 2 O 1.97, 2 H 1.97
O (0.8923, 0.8384, 0.7824)  2 Si 1.66-1.67
O (0.2764, 0.5238, 0.1122)  1 Si 1.64
O (0.3384, 0.3923, 0.7176)  2 Si 1.66-1.67
O (0.8739, 0.3739, 0.7500)  2 Si 1.80, 2 O 1.97, 2 H 1.97
O (0.6982, 0.9388, 0.1118)  1 H 0.98
O (0.0612, 0.6982, 0.8882)  1 H 0.98
O (0.6077, 0.3384, 0.7176)  2 Si 1.66-1.67
O (0.9388, 0.3018, 0.8882)  1 H 0.98
O (0.8018, 0.4388, 0.6118)  1 H 0.98
O (0.6616, 0.6077, 0.7176)  2 Si 1.66-1.67
O (0.8923, 0.8384, 0.2176)  2 Si 1.66-1.67
O (0.0238, 0.7764, 0.6122)  1 Si 1.64
O (0.3384, 0.3923, 0.2824)  2 Si 1.66-1.67
O (0.1261, 0.6261, 0.2500)  2 Si 1.80, 2 O 1.97, 2 H 1.97
O (0.8384, 0.1077, 0.2176)  2 Si 1.66-1.67
O (0.2764, 0.5238, 0.8878)  1 Si 1.64
O (0.9762, 0.2236, 0.6122)  1 Si 1.64
O (0.9762, 0.2236, 0.3878)  1 Si 1.64
O (0.1616, 0.8923, 0.7824)  2 Si 1.66-1.67
O (0.5238, 0.7236, 0.1122)  1 Si 1.64
O (0.3018, 0.0612, 0.8882)  1 H 0.98
O (0.1982, 0.5612, 0.3882)  1 H 0.98
O (0.1077, 0.1616, 0.7824)  2 Si 1.66-1.67
O (0.5238, 0.7236, 0.8878)  1 Si 1.64
O (0.7764, 0.9762, 0.3878)  1 Si 1.64
O (0.0612, 0.6982, 0.1118)  1 H 0.98
O (0.3739, 0.1261, 0.2500)  2 Si 1.80, 2 O 1.97, 2 H 1.97
O (0.6982, 0.9388, 0.8882)  1 H 0.98
O (0.8018, 0.4388, 0.3882)  1 H 0.98
O (0.3018, 0.0612, 0.1118)  1 H 0.98
O (0.6261, 0.8739, 0.2500)  2 Si 1.80, 2 O 1.97, 2 H 1.97
O (0.6261, 0.8739, 0.7500)  2 Si 1.80, 2 O 1.97, 2 H 1.97
O (0.4762, 0.2764, 0.8878)  1 Si 1.64
O (0.0238, 0.7764, 0.3878)  1 Si 1.64
O (0.5612, 0.8018, 0.6118)  1 H 0.98
O (0.1077, 0.1616, 0.2176)  2 Si 1.66-1.67
O (0.1616, 0.8923, 0.2176)  2 Si 1.66-1.67
O (0.6616, 0.6077, 0.2824)  2 Si 1.66-1.67
O (0.4762, 0.2764, 0.1122)  1 Si 1.64
O (0.2236, 0.0238, 0.6122)  1 Si 1.64
O (0.9388, 0.3018, 0.1118)  1 H 0.98
O (0.3923, 0.6616, 0.7176)  2 Si 1.66-1.67
O (0.4388, 0.1982, 0.3882)  1 H 0.98
O (0.7236, 0.4762, 0.8878)  1 Si 1.64
O (0.4388, 0.1982, 0.6118)  1 H 0.98
Si (0.5435, 0.7139, 0.2433)  4 O 1.64-1.80
Si (0.7861, 0.9565, 0.7433)  4 O 1.64-1.80
Si (0.7861, 0.9565, 0.2567)  4 O 1.64-1.80
Si (0.2139, 0.0435, 0.7433)  4 O 1.64-1.80
Si (0.2861, 0.5435, 0.2433)  4 O 1.64-1.80
Si (0.2861, 0.5435, 0.7567)  4 O 1.64-1.80
Si (0.5435, 0.7139, 0.7567)  4 O 1.64-1.80
Si (0.4565, 0.2861, 0.7567)  4 O 1.64-1.80
Si (0.4565, 0.2861, 0.2433)  4 O 1.64-1.80
Si (0.9565, 0.2139, 0.7433)  4 O 1.64-1.80
Si (0.9565, 0.2139, 0.2567)  4 O 1.64-1.80
Si (0.7139, 0.4565, 0.7567)  4 O 1.64-1.80
Si (0.0435, 0.7861, 0.2567)  4 O 1.64-1.80
Si (0.2139, 0.0435, 0.2567)  4 O 1.64-1.80
Si (0.0435, 0.7861, 0.7433)  4 O 1.64-1.80
Si (0.7139, 0.4565, 0.2433)  4 O 1.64-1.80
Ca (0.7959, 0.7900, 0.5000)  2 O 2.33, 2 H 2.36
Ca (0.7900, 0.2041, 0.5000)  2 O 2.33, 2 H 2.36
Ca (0.2900, 0.2959, 0.0000)  2 O 2.33, 2 H 2.36
Ca (0.7100, 0.7041, 0.0000)  2 O 2.33, 2 H 2.36
Ca (0.7041, 0.2900, 0.0000)  2 O 2.33, 2 H 2.36
Ca (0.2959, 0.7100, 0.0000)  2 O 2.33, 2 H 2.36
Ca (0.2100, 0.7959, 0.5000)  2 O 2.33, 2 H 2.36
Ca (0.2041, 0.2100, 0.5000)  2 O 2.33, 2 H 2.36
F (0.5000, 0.5000, 0.5000)  8 H 2.02
F (0.0000, 0.0000, 0.0000)  8 H 2.02
K (0.5000, 0.5000, 0.0000)  8 O 2.64, 4 Ca 2.92
K (0.0000, 0.0000, 0.5000)  8 O 2.64, 4 Ca 2.92

For the calculated total energy, the calculation gives -5.766 eV per atom. Its crystal system is tetragonal. The symmetry is P4/mnc, No. 128.

---

No. 4
# Li2Cu4S3

Crystalline Li2Cu4S3 at its relaxed geometry (PBE-GGA, the Materials Project).

Unit cell a=6.3625 b=8.4530 c=10.7725 alpha=90.00 beta=90.00 gamma=90.00
With the nearest neighbours (Å) after each atom.
Fractional coordinates of all 36 atoms:
Cu (0.8724, 0.6699, 0.4148)  3 S 2.23-2.33
Cu (0.0602, 0.1628, 0.2500)  3 S 2.21-2.32
Cu (0.8724, 0.6699, 0.0852)  3 S 2.23-2.33
Cu (0.9398, 0.8372, 0.7500)  3 S 2.21-2.32
Cu (0.4861, 0.3593, 0.2500)  3 S 2.23-2.36
Cu (0.5139, 0.6407, 0.7500)  3 S 2.23-2.36
Cu (0.3724, 0.8301, 0.9148)  3 S 2.23-2.33
Cu (0.5602, 0.3372, 0.7500)  3 S 2.21-2.32
Cu (0.6276, 0.1699, 0.4148)  3 S 2.23-2.33
Cu (0.6276, 0.1699, 0.0852)  3 S 2.23-2.33
Cu (0.1276, 0.3301, 0.9148)  3 S 2.23-2.33
Cu (0.4398, 0.6628, 0.2500)  3 S 2.21-2.32
Cu (0.3724, 0.8301, 0.5852)  3 S 2.23-2.33
Cu (0.0139, 0.8593, 0.2500)  3 S 2.23-2.36
Cu (0.9861, 0.1407, 0.7500)  3 S 2.23-2.36
Cu (0.1276, 0.3301, 0.5852)  3 S 2.23-2.33
Li (0.6103, 0.0251, 0.7500)  1 S 2.38, 3 Cu 2.58-2.66
Li (0.1103, 0.4749, 0.2500)  1 S 2.38, 3 Cu 2.58-2.66
Li (0.5000, 0.5000, 0.5000)  4 S 2.73-2.92, 8 Cu 2.92-3.05
Li (0.3897, 0.9749, 0.2500)  1 S 2.38, 3 Cu 2.58-2.66
Li (0.8897, 0.5251, 0.7500)  1 S 2.38, 3 Cu 2.58-2.66
Li (0.5000, 0.5000, 0.0000)  4 S 2.73-2.92, 8 Cu 2.92-3.05
Li (0.0000, 0.0000, 0.5000)  4 S 2.73-2.92, 8 Cu 2.92-3.05
Li (0.0000, 0.0000, 0.0000)  4 S 2.73-2.92, 8 Cu 2.92-3.05
S (0.2226, 0.7488, 0.4087)  4 Cu 2.23-2.36
S (0.7774, 0.2512, 0.5913)  4 Cu 2.23-2.36
S (0.7226, 0.7512, 0.5913)  4 Cu 2.23-2.36
S (0.7226, 0.7512, 0.9087)  4 Cu 2.23-2.36
S (0.2774, 0.2488, 0.0913)  4 Cu 2.23-2.36
S (0.2226, 0.7488, 0.0913)  4 Cu 2.23-2.36
S (0.2774, 0.2488, 0.4087)  4 Cu 2.23-2.36
S (0.7774, 0.2512, 0.9087)  4 Cu 2.23-2.36
S (0.2547, 0.4627, 0.7500)  4 Cu 2.21-2.25, 1 Li 2.38
S (0.7547, 0.0373, 0.2500)  4 Cu 2.21-2.25, 1 Li 2.38
S (0.7453, 0.5373, 0.2500)  4 Cu 2.21-2.25, 1 Li 2.38
S (0.2453, 0.9627, 0.7500)  4 Cu 2.21-2.25, 1 Li 2.38

For the calculated total energy, the calculation gives -4.086 eV per atom. Its crystal system is orthorhombic. The symmetry is Pnma, No. 62.

---

No. 5
# LiAlGeO4

Crystalline LiAlGeO4 at its relaxed geometry (PBE-GGA, the Materials Project).

Unit cell a=8.6243 b=8.6243 c=8.6243 alpha=107.86 beta=107.86 gamma=107.86
With the nearest neighbours (Å) after each atom.
Fractional coordinates of all 42 atoms:
O (0.0296, 0.7200, 0.0498)  1 Ge 1.77, 1 Al 1.78
O (0.4108, 0.0893, 0.7477)  1 Ge 1.77, 1 Al 1.77, 1 Li 1.96
O (0.9705, 0.2806, 0.9514)  1 Ge 1.77, 1 Al 1.77
O (0.6181, 0.6733, 0.9552)  1 Ge 1.78, 1 Al 1.79, 1 Li 1.99
O (0.9552, 0.6181, 0.6733)  1 Ge 1.78, 1 Al 1.79, 1 Li 1.99
O (0.6436, 0.3128, 0.3395)  1 Ge 1.76, 1 Al 1.78
O (0.7200, 0.0498, 0.0296)  1 Ge 1.77, 1 Al 1.78
O (0.3572, 0.6873, 0.6614)  1 Al 1.77, 1 Ge 1.77, 1 Li 1.97
O (0.5880, 0.9104, 0.2522)  1 Ge 1.77, 1 Al 1.78, 1 Li 1.96
O (0.0442, 0.3811, 0.3257)  1 Ge 1.78, 1 Al 1.78, 1 Li 1.99
O (0.6873, 0.6614, 0.3572)  1 Al 1.77, 1 Ge 1.77, 1 Li 1.97
O (0.9514, 0.9705, 0.2806)  1 Ge 1.77, 1 Al 1.77
O (0.0498, 0.0296, 0.7200)  1 Ge 1.77, 1 Al 1.78
O (0.2522, 0.5880, 0.9104)  1 Ge 1.77, 1 Al 1.78, 1 Li 1.96
O (0.6614, 0.3572, 0.6873)  1 Al 1.77, 1 Ge 1.77, 1 Li 1.97
O (0.9104, 0.2522, 0.5880)  1 Ge 1.77, 1 Al 1.78, 1 Li 1.96
O (0.0893, 0.7477, 0.4108)  1 Ge 1.77, 1 Al 1.77, 1 Li 1.96
O (0.3257, 0.0442, 0.3811)  1 Ge 1.78, 1 Al 1.78, 1 Li 1.99
O (0.2806, 0.9514, 0.9705)  1 Ge 1.77, 1 Al 1.77
O (0.3811, 0.3257, 0.0442)  1 Ge 1.78, 1 Al 1.78, 1 Li 1.99
O (0.7477, 0.4108, 0.0893)  1 Ge 1.77, 1 Al 1.77, 1 Li 1.96
O (0.3128, 0.3395, 0.6436)  1 Ge 1.76, 1 Al 1.78
O (0.6733, 0.9552, 0.6181)  1 Ge 1.78, 1 Al 1.79, 1 Li 1.99
O (0.3395, 0.6436, 0.3128)  1 Ge 1.76, 1 Al 1.78
Li (0.4575, 0.0585, 0.2295)  4 O 1.96-1.99
Li (0.5417, 0.9409, 0.7703)  4 O 1.96-1.99
Li (0.9409, 0.7703, 0.5417)  4 O 1.96-1.99
Li (0.0585, 0.2295, 0.4575)  4 O 1.96-1.99
Li (0.2295, 0.4575, 0.0585)  4 O 1.96-1.99
Li (0.7703, 0.5417, 0.9409)  4 O 1.96-1.99
Ge (0.8683, 0.2786, 0.1005)  4 O 1.77-1.78
Ge (0.3865, 0.5675, 0.7937)  4 O 1.76-1.78
Ge (0.5675, 0.7937, 0.3865)  4 O 1.76-1.78
Ge (0.7937, 0.3865, 0.5675)  4 O 1.76-1.78
Ge (0.2786, 0.1005, 0.8683)  4 O 1.77-1.78
Ge (0.1005, 0.8683, 0.2786)  4 O 1.77-1.78
Al (0.8995, 0.1319, 0.7221)  4 O 1.77-1.79
Al (0.4331, 0.2070, 0.6134)  4 O 1.77-1.78
Al (0.6134, 0.4331, 0.2070)  4 O 1.77-1.78
Al (0.1319, 0.7221, 0.8995)  4 O 1.77-1.79
Al (0.2070, 0.6134, 0.4331)  4 O 1.77-1.78
Al (0.7221, 0.8995, 0.1319)  4 O 1.77-1.79

For the calculated total energy, the calculation gives -6.617 eV per atom. Its crystal system is trigonal. The symmetry is R3, No. 146.

---

No. 6
# WN2

Crystalline WN2 at its relaxed geometry (PBE-GGA, the Materials Project).

Unit cell a=5.7533 b=5.7533 c=3.9523 alpha=70.34 beta=70.34 gamma=38.84
With the nearest neighbours (Å) after each atom.
Fractional coordinates of all 6 atoms:
N (0.8281, 0.8281, 0.4269)  3 W 1.99-2.10
N (0.1719, 0.1719, 0.5731)  3 W 1.99-2.10
N (0.4194, 0.4194, 0.8289)  2 W 1.90-2.06
N (0.5806, 0.5806, 0.1711)  2 W 1.90-2.06
W (0.3781, 0.3781, 0.3378)  5 N 1.90-2.10
W (0.6219, 0.6219, 0.6622)  5 N 1.90-2.10

For the calculated total energy, the calculation gives -9.971 eV per atom. Its crystal system is monoclinic. The symmetry is C2/m, No. 12.

---

Number 1: energy of formation -0.3 eV per formula unit. Number 2: energy of formation -9.8 eV per formula unit. Number 3: energy of formation -106.9 eV per formula unit. Number 4: energy of formation -5.7 eV per formula unit. Number 5: energy of formation -19.0 eV per formula unit. Number 6: energy of formation -1.0 eV per formula unit.